# 1
NaHS | GGA-PBE | optimized geometry

The structure in POSCAR format:
```
NaHS
1.0
3.968 0.000 0.000
0.000 4.499 0.000
-1.049 0.000 5.936
Na H S
2 2 2
direct
0.228 0.250 0.268 Na
0.772 0.750 0.732 Na
0.460 0.750 0.105 H
0.540 0.250 0.895 H
0.241 0.250 0.748 S
0.759 0.750 0.252 S
```

Values from the calculation:
Calculated total energy in eV per atom: -3.63
Crystal system: monoclinic
Space group: No. 11

***

# 2
NdTe2BrO5 | GGA-PBE | optimized geometry

The structure in POSCAR format:
```
NdTe2BrO5
1.0
-2.725 2.725 9.505
2.725 -2.725 9.505
2.725 2.725 -9.505
Nd Te Br O
2 4 2 10
direct
0.250 0.750 0.500 Nd
0.750 0.250 0.500 Nd
0.106 0.106 0.000 Te
0.372 0.372 0.000 Te
0.628 0.628 0.000 Te
0.894 0.894 0.000 Te
0.000 0.500 0.500 Br
0.500 0.000 0.500 Br
0.076 0.076 0.467 O
0.076 0.609 0.000 O
0.269 0.269 0.000 O
0.391 0.391 0.467 O
0.391 0.924 0.000 O
0.609 0.076 0.000 O
0.609 0.609 0.533 O
0.731 0.731 0.000 O
0.924 0.391 0.000 O
0.924 0.924 0.533 O
```

Values from the calculation:
Calculated total energy in eV per atom: -5.84
Crystal system: tetragonal
Space group: No. 139
M_tot in μB/f.u.: 0.0

***

# 3
Al11Cr4 | GGA-PBE | optimized geometry

The structure in POSCAR format:
```
Al11Cr4
1.0
5.099 0.000 0.000
0.945 5.061 0.000
0.063 2.458 8.616
Al Cr
11 4
direct
0.000 0.000 0.000 Al
0.057 0.829 0.317 Al
0.150 0.534 0.875 Al
0.184 0.278 0.370 Al
0.425 0.329 0.628 Al
0.484 0.102 0.124 Al
0.516 0.898 0.876 Al
0.575 0.671 0.372 Al
0.816 0.722 0.630 Al
0.850 0.466 0.125 Al
0.943 0.171 0.683 Al
0.301 0.855 0.600 Cr
0.342 0.603 0.134 Cr
0.658 0.397 0.866 Cr
0.699 0.145 0.400 Cr
```

Values from the calculation:
Calculated total energy in eV per atom: -5.46
Crystal system: triclinic
Space group: No. 2
M_tot in μB/f.u.: 5.0

***

# 4
Rb2NbCl6 | GGA-PBE | optimized geometry

The structure in POSCAR format:
```
Rb2NbCl6
1.0
-3.683 3.683 5.050
3.683 -3.683 5.050
3.683 3.683 -5.050
Rb Nb Cl
2 1 6
direct
0.250 0.750 0.500 Rb
0.750 0.250 0.500 Rb
0.000 0.000 0.000 Nb
0.235 0.235 0.469 Cl
0.235 0.765 0.000 Cl
0.241 0.241 0.000 Cl
0.759 0.759 0.000 Cl
0.765 0.235 0.000 Cl
0.765 0.765 0.531 Cl
```

Values from the calculation:
Calculated total energy in eV per atom: -4.18
Crystal system: tetragonal
Space group: No. 139

***

# 5
MgCoWS4 | GGA-PBE | optimized geometry

The structure in POSCAR format:
```
MgCoWS4
1.0
6.279 -3.404 0.000
6.279 3.404 0.000
-4.113 0.000 5.915
Mg Co W S
2 2 2 8
direct
0.126 0.126 0.376 Mg
0.874 0.874 0.624 Mg
0.500 0.500 0.000 Co
0.500 0.500 0.500 Co
0.000 0.500 0.000 W
0.500 0.000 0.000 W
0.270 0.703 0.236 S
0.273 0.273 0.263 S
0.273 0.273 0.784 S
0.297 0.730 0.764 S
0.703 0.270 0.236 S
0.727 0.727 0.216 S
0.727 0.727 0.737 S
0.730 0.297 0.764 S
```

Values from the calculation:
Calculated total energy in eV per atom: -5.98
Crystal system: monoclinic
Space group: No. 12
M_tot in μB/f.u.: 0.2

***

# 6
Co2Re5B4 | GGA-PBE | optimized geometry

The structure in POSCAR format:
```
Co2Re5B4
1.0
3.804 -3.806 0.000
3.804 3.806 0.000
0.000 0.000 8.097
Co Re B
4 10 8
direct
0.000 0.500 0.500 Co
0.162 0.162 0.000 Co
0.500 0.000 0.500 Co
0.838 0.838 0.000 Co
0.173 0.827 0.284 Re
0.173 0.827 0.716 Re
0.323 0.323 0.283 Re
0.323 0.323 0.717 Re
0.335 0.665 0.000 Re
0.665 0.335 0.000 Re
0.677 0.677 0.283 Re
0.677 0.677 0.717 Re
0.827 0.173 0.284 Re
0.827 0.173 0.716 Re
0.000 0.500 0.136 B
0.000 0.500 0.864 B
0.123 0.123 0.500 B
0.379 0.621 0.500 B
0.500 0.000 0.136 B
0.500 0.000 0.864 B
0.621 0.379 0.500 B
0.877 0.877 0.500 B
```

Values from the calculation:
Calculated total energy in eV per atom: -9.60
Crystal system: orthorhombic
Space group: No. 65
M_tot in μB/f.u.: 1.1